This record from Materials Project describes an optimized crystal structure of Rb2InAsI6. The functional is PBE-GGA.

The calculation puts the density at 4.1 Mg/m³. Its crystal system is cubic. The formation energy comes out at -957 kJ/mol of formula units. The volume comes out at 1801 Å³/cell.

It has space group Fm-3m (No. 225), with a = 12.1670 Å, b = 12.1670 Å, c = 12.1670 Å, α = 90.00°, β = 90.00° and γ = 90.00°. The asymmetric unit holds Rb at (0.2500, 0.2500, 0.2500), In at (0.0000, 0.0000, 0.0000), As at (0.0000, 0.0000, 0.5000) and I at (0.0000, 0.0000, 0.2613).

***

This record from Materials Project describes an optimized crystal structure of K3AsI6. The functional is PBE-GGA.

The calculation puts the density at 3.3 Mg/m³. Its crystal system is cubic. The formation energy comes out at -1060 kJ/mol of formula units. The volume comes out at 1925 Å³/cell.

It has space group Fm-3m (No. 225), with a = 12.4401 Å, b = 12.4401 Å, c = 12.4401 Å, α = 90.00°, β = 90.00° and γ = 90.00°. The asymmetric unit holds K at (0.0000, 0.0000, 0.0000), K at (0.2500, 0.2500, 0.2500), As at (0.0000, 0.0000, 0.5000) and I at (0.0000, 0.0000, 0.2692).

***

This record from Materials Project describes an optimized crystal structure of KRb2AsI6. The functional is PBE-GGA.

The calculation puts the density at 3.6 Mg/m³. Its crystal system is cubic. The formation energy comes out at -1104 kJ/mol of formula units. The volume comes out at 1939 Å³/cell.

It has space group Fm-3m (No. 225), with a = 12.4707 Å, b = 12.4707 Å, c = 12.4707 Å, α = 90.00°, β = 90.00° and γ = 90.00°. The asymmetric unit holds K at (0.0000, 0.0000, 0.0000), Rb at (0.2500, 0.2500, 0.2500), As at (0.0000, 0.0000, 0.5000) and I at (0.0000, 0.0000, 0.2695).

***

This record from Materials Project describes an optimized crystal structure of K2TlAsI6. The functional is PBE-GGA.

The calculation puts the density at 4.0 Mg/m³. Its crystal system is cubic. The formation energy comes out at -931 kJ/mol of formula units. The volume comes out at 1855 Å³/cell.

It has space group Fm-3m (No. 225), with a = 12.2880 Å, b = 12.2880 Å, c = 12.2880 Å, α = 90.00°, β = 90.00° and γ = 90.00°. The asymmetric unit holds K at (0.2500, 0.2500, 0.2500), Tl at (0.0000, 0.0000, 0.0000), As at (0.0000, 0.0000, 0.5000) and I at (0.0000, 0.0000, 0.2660).